(1)
84
Lattice="-7.8811 7.9409 8.0805 7.8811 -7.9409 8.0805 7.8811 7.9409 -8.0805" Properties=species:S:1:pos:R:3 comment="NdCd6 (GGA-PBE, optimized geometry)" vol_a3_per_atom=24.08 e_form_ev_per_atom=-0.206 pbc="T T T"
Nd 7.8811 4.9002 -4.8710
Nd 4.9043 3.2117 0.0000
Nd 10.8579 3.2117 0.0000
Nd 3.1917 7.9409 -3.1679
Nd 4.6894 0.0000 4.9126
Nd 0.0000 3.0407 3.2096
Nd 7.8811 4.9002 4.8710
Nd 3.1917 7.9409 3.1679
Nd 4.6894 0.0000 11.2485
Nd -2.9768 4.7292 8.0805
Nd 2.9768 4.7292 8.0805
Nd 0.0000 3.0407 12.9515
Cd 3.1086 0.0000 0.0000
Cd 12.6536 0.0000 0.0000
Cd 3.1910 -1.8638 2.5116
Cd 12.5712 -1.8638 2.5116
Cd 6.1281 -2.5314 3.2433
Cd 9.6341 -2.5314 3.2433
Cd 0.0000 0.0000 1.4868
Cd 7.8811 1.5268 0.0000
Cd 5.5640 0.0000 1.5640
Cd 10.1982 0.0000 1.5640
Cd 1.5190 2.3907 0.0000
Cd 6.3621 -5.5502 8.0805
Cd 7.8811 4.2064 -1.4573
Cd 5.3506 5.3908 -2.6236
Cd 10.4116 5.3908 -2.6236
Cd 2.5192 4.7618 -1.8687
Cd 5.3619 -3.1791 6.2118
Cd 7.8811 0.0000 3.2071
Cd 6.3722 7.9409 -4.1382
Cd 1.5089 0.0000 3.9423
Cd 7.8811 -1.5155 5.6943
Cd 3.1910 1.8638 2.5116
Cd 12.5712 1.8638 2.5116
Cd 0.0000 4.8792 0.0000
Cd 7.8811 4.2064 1.4573
Cd 6.1281 2.5314 3.2433
Cd 9.6341 2.5314 3.2433
Cd 4.0687 6.4366 0.0000
Cd 3.8124 -1.5043 8.0805
Cd 2.5192 4.7618 1.8687
Cd 6.3974 7.9409 -1.3677
Cd 1.4837 0.0000 6.7128
Cd 5.3619 -3.1791 9.9492
Cd 7.8811 1.5155 5.6943
Cd -2.5305 2.5501 5.4569
Cd 2.5305 2.5501 5.4569
Cd 1.5029 7.9409 0.0000
Cd 6.3782 0.0000 8.0805
Cd 5.3506 5.3908 2.6236
Cd 10.4116 5.3908 2.6236
Cd 0.0000 6.4254 2.3862
Cd 2.5192 11.1200 -1.8687
Cd 6.3974 7.9409 1.3677
Cd 1.4837 0.0000 9.4482
Cd 5.3619 3.1791 6.2118
Cd 4.0687 9.4452 0.0000
Cd 3.8124 1.5043 8.0805
Cd -1.7530 5.4095 4.8372
Cd 1.7530 5.4095 4.8372
Cd 0.0000 3.7345 6.6232
Cd 0.0000 11.0026 0.0000
Cd -4.6901 6.0771 5.5689
Cd 4.6901 6.0771 5.5689
Cd 0.0000 9.4564 2.3862
Cd 6.3722 7.9409 4.1382
Cd 1.5089 0.0000 12.2188
Cd 0.0000 7.9409 4.8734
Cd 2.5192 11.1200 1.8687
Cd 5.3619 3.1791 9.9492
Cd -2.5305 2.5501 10.7041
Cd 2.5305 2.5501 10.7041
Cd 0.0000 3.7345 9.5378
Cd 1.5190 13.4911 0.0000
Cd 6.3621 5.5502 8.0805
Cd -2.3171 7.9409 6.5166
Cd 2.3171 7.9409 6.5166
Cd 0.0000 6.4141 8.0805
Cd 0.0000 0.0000 14.6742
Cd -1.7530 10.4724 4.8372
Cd 1.7530 10.4724 4.8372
Cd -4.6901 9.8047 5.5689
Cd 4.6901 9.8047 5.5689

=====

(2)
36
Lattice="9.4563 0.0000 0.0000 0.0000 9.4563 0.0000 0.0000 0.0000 9.4563" Properties=species:S:1:pos:R:3 comment="NdCd11 (GGA-PBE, optimized geometry)" vol_a3_per_atom=23.49 e_form_ev_per_atom=-0.140 pbc="T T T"
Nd 0.0000 0.0000 4.7282
Nd 0.0000 4.7282 0.0000
Nd 4.7282 0.0000 0.0000
Cd 0.0000 3.2691 3.2691
Cd 0.0000 3.2691 6.1872
Cd 0.0000 6.1872 3.2691
Cd 0.0000 6.1872 6.1872
Cd 1.4690 1.4690 1.4690
Cd 1.4690 1.4690 7.9874
Cd 1.4690 7.9874 1.4690
Cd 1.4690 7.9874 7.9874
Cd 2.5029 2.5029 4.7282
Cd 2.5029 4.7282 2.5029
Cd 2.5029 4.7282 6.9534
Cd 2.5029 6.9534 4.7282
Cd 3.2691 0.0000 3.2691
Cd 3.2691 0.0000 6.1872
Cd 3.2691 3.2691 0.0000
Cd 3.2691 6.1872 0.0000
Cd 4.7282 2.5029 2.5029
Cd 4.7282 2.5029 6.9534
Cd 4.7282 4.7282 4.7282
Cd 4.7282 6.9534 2.5029
Cd 4.7282 6.9534 6.9534
Cd 6.1872 0.0000 3.2691
Cd 6.1872 0.0000 6.1872
Cd 6.1872 3.2691 0.0000
Cd 6.1872 6.1872 0.0000
Cd 6.9534 2.5029 4.7282
Cd 6.9534 4.7282 2.5029
Cd 6.9534 4.7282 6.9534
Cd 6.9534 6.9534 4.7282
Cd 7.9874 1.4690 1.4690
Cd 7.9874 1.4690 7.9874
Cd 7.9874 7.9874 1.4690
Cd 7.9874 7.9874 7.9874